First-principles (GGA+U) data for a relaxed Pr2MgMo4O12 crystal, as listed in the Materials Project.

Calculated values
- electronic total energy (eV/atom) = -7.4010

Lattice parameters (Å, degrees): 5.545 5.681 8.009 90.11 90.16 91.66
Space group P1 (No. 1)
Asymmetric unit:
Pr (0.000, 0.000, 0.000) (multiplicity 1)
Pr (0.490, 0.381, 0.500) (multiplicity 1)
Mg (0.490, 0.469, 0.996) (multiplicity 1)
Mo (0.492, 0.926, 0.254) (multiplicity 1)
Mo (0.492, 0.926, 0.750) (multiplicity 1)
Mo (0.983, 0.446, 0.746) (multiplicity 1)
Mo (0.984, 0.448, 0.249) (multiplicity 1)
O (0.081, 0.455, 0.507) (multiplicity 1)
O (0.191, 0.729, 0.817) (multiplicity 1)
O (0.197, 0.753, 0.197) (multiplicity 1)
O (0.297, 0.238, 0.815) (multiplicity 1)
O (0.302, 0.246, 0.182) (multiplicity 1)
O (0.405, 0.971, 0.493) (multiplicity 1)
O (0.588, 0.863, 0.004) (multiplicity 1)
O (0.661, 0.630, 0.297) (multiplicity 1)
O (0.666, 0.630, 0.705) (multiplicity 1)
O (0.767, 0.134, 0.277) (multiplicity 1)
O (0.774, 0.148, 0.712) (multiplicity 1)
O (0.860, 0.410, 0.993) (multiplicity 1)